The following is a PBE calculation of a relaxed structure of Na4Al3Si9ClO24, from the Materials Project database.

```
Na4Al3Si9ClO24
1.0
7.636 0.000 0.000
3.705 8.634 0.000
3.757 0.051 8.649
O Na Si Al Cl
24 4 9 3 1
Direct
0.795 0.100 0.642 O
0.676 0.433 0.186 O
0.094 0.345 0.095 O
0.108 0.180 0.574 O
0.643 0.896 0.812 O
0.560 0.639 0.900 O
0.143 0.414 0.708 O
0.467 0.190 0.900 O
0.907 0.653 0.895 O
0.553 0.804 0.106 O
0.440 0.101 0.654 O
0.119 0.701 0.596 O
0.352 0.101 0.196 O
0.858 0.292 0.409 O
0.896 0.813 0.415 O
0.432 0.305 0.400 O
0.585 0.706 0.582 O
0.266 0.597 0.303 O
0.221 0.882 0.361 O
0.571 0.898 0.348 O
0.849 0.605 0.292 O
0.297 0.586 0.799 O
0.421 0.365 0.114 O
0.738 0.389 0.700 O
0.235 0.933 0.685 Na
0.131 0.664 0.063 Na
0.774 0.088 0.339 Na
0.870 0.337 0.924 Na
0.661 0.748 0.928 Si
0.725 0.746 0.413 Si
0.582 0.074 0.754 Si
0.123 0.582 0.746 Si
0.330 0.248 0.076 Si
0.425 0.922 0.249 Si
0.128 0.744 0.420 Si
0.875 0.247 0.578 Si
0.451 0.423 0.255 Si
0.865 0.422 0.253 Al
0.280 0.257 0.581 Al
0.552 0.574 0.739 Al
0.000 0.998 0.009 Cl
```

Calculated values
- total DFT energy (no corrections) (eV/atom) = -7.267

The following is a PBE calculation of a relaxed structure of K3Nb2Ag3S8, from the Materials Project database.

```
K3Nb2Ag3S8
1.0
2.989 12.512 0.000
-2.989 12.512 0.000
0.000 7.229 12.488
K Nb S Ag
6 4 16 6
Direct
0.246 0.362 0.101 K
0.000 0.000 0.500 K
0.000 0.000 0.000 K
0.638 0.754 0.399 K
0.754 0.638 0.899 K
0.362 0.246 0.601 K
0.412 0.844 0.721 Nb
0.156 0.588 0.779 Nb
0.844 0.412 0.221 Nb
0.588 0.156 0.279 Nb
0.783 0.901 0.184 S
0.826 0.976 0.384 S
0.024 0.174 0.116 S
0.099 0.217 0.316 S
0.712 0.711 0.108 S
0.453 0.455 0.153 S
0.545 0.547 0.347 S
0.901 0.783 0.684 S
0.174 0.024 0.616 S
0.547 0.545 0.847 S
0.289 0.288 0.392 S
0.976 0.826 0.884 S
0.711 0.712 0.608 S
0.288 0.289 0.892 S
0.217 0.099 0.816 S
0.455 0.453 0.653 S
0.283 0.717 0.750 Ag
0.911 0.343 0.715 Ag
0.717 0.283 0.250 Ag
0.089 0.657 0.285 Ag
0.657 0.089 0.785 Ag
0.343 0.911 0.215 Ag
```

Calculated values
- total DFT energy (no corrections) (eV/atom) = -4.944

The following is a PBE calculation of a relaxed structure of SmMgAg, from the Materials Project database.

```
SmMgAg
1.0
0.000 0.000 -4.314
-3.864 -6.693 0.000
-3.864 6.693 0.000
Mg Sm Ag
3 3 3
Direct
0.000 0.757 0.757 Mg
0.000 0.000 0.243 Mg
0.000 0.243 0.000 Mg
0.500 0.585 0.000 Sm
0.500 0.000 0.585 Sm
0.500 0.415 0.415 Sm
0.000 0.667 0.333 Ag
0.500 0.000 0.000 Ag
0.000 0.333 0.667 Ag
```

Calculated values
- total DFT energy (no corrections) (eV/atom) = -3.316

The following is a PBE calculation of a relaxed structure of CaMg14Ti, from the Materials Project database.

```
CaMg14Ti
1.0
-2.501 -4.972 -3.346
2.581 -1.015 5.860
-9.206 1.703 4.349
Mg Ti Ca
14 1 1
Direct
0.828 0.164 0.869 Mg
0.334 0.676 0.873 Mg
0.167 0.334 0.625 Mg
0.828 0.164 0.381 Mg
0.334 0.158 0.873 Mg
0.662 0.329 0.125 Mg
0.667 0.334 0.625 Mg
0.662 0.833 0.125 Mg
0.334 0.158 0.377 Mg
0.165 0.833 0.625 Mg
0.334 0.676 0.377 Mg
0.839 0.670 0.369 Mg
0.839 0.670 0.881 Mg
0.667 0.832 0.625 Mg
0.174 0.837 0.125 Ti
0.167 0.334 0.125 Ca
```

Calculated values
- total DFT energy (no corrections) (eV/atom) = -1.951

The following is a PBE calculation of a relaxed structure of LiMo6Se6S2, from the Materials Project database.

```
LiMo6Se6S2
1.0
-4.952 -1.559 4.184
-3.284 -2.794 -5.154
3.198 -5.814 1.343
Mo S Se Li
6 2 6 1
Direct
0.412 0.220 0.549 Mo
0.771 0.450 0.585 Mo
0.589 0.775 0.446 Mo
0.447 0.589 0.767 Mo
0.224 0.555 0.415 Mo
0.551 0.419 0.232 Mo
0.275 0.867 0.607 S
0.866 0.612 0.277 S
0.216 0.223 0.224 Se
0.126 0.377 0.747 Se
0.377 0.749 0.124 Se
0.782 0.782 0.776 Se
0.749 0.127 0.378 Se
0.616 0.255 0.874 Se
0.002 0.999 0.000 Li
```

Calculated values
- total DFT energy (no corrections) (eV/atom) = -7.038

The following is a PBE calculation of a relaxed structure of Na3Zr2Nb2Si3P3O24, from the Materials Project database.

```
Na3Zr2Nb2Si3P3O24
1.0
9.014 0.014 -0.011
-4.495 7.764 0.007
-0.028 0.003 22.874
O Zr Na P Si Nb
72 6 9 9 9 6
Direct
0.963 0.807 0.083 O
0.021 0.839 0.408 O
0.114 0.631 0.354 O
0.505 0.868 0.365 O
0.129 0.495 0.581 O
0.980 0.807 0.806 O
0.471 0.311 0.744 O
0.842 0.326 0.530 O
0.827 0.520 0.744 O
0.156 0.460 0.974 O
0.292 0.832 0.255 O
0.654 0.156 0.426 O
0.679 0.528 0.529 O
0.659 0.515 0.640 O
0.203 0.175 0.805 O
0.176 0.984 0.907 O
0.194 0.018 0.306 O
0.817 0.830 0.907 O
0.551 0.699 0.980 O
0.688 0.169 0.743 O
0.178 0.984 0.196 O
0.168 0.681 0.759 O
0.831 0.822 0.303 O
0.357 0.869 0.861 O
0.474 0.316 0.026 O
0.953 0.167 0.586 O
0.489 0.349 0.136 O
0.361 0.485 0.364 O
0.796 0.814 0.187 O
0.846 0.507 0.427 O
0.834 0.299 0.250 O
0.497 0.646 0.865 O
0.150 0.647 0.081 O
0.493 0.352 0.425 O
0.551 0.848 0.480 O
0.501 0.631 0.583 O
0.834 0.036 0.083 O
0.512 0.862 0.079 O
0.202 0.174 0.084 O
0.175 0.190 0.410 O
0.495 0.152 0.641 O
0.372 0.863 0.582 O
0.836 0.022 0.802 O
0.303 0.849 0.970 O
0.497 0.138 0.921 O
0.023 0.182 0.906 O
0.651 0.133 0.137 O
0.138 0.499 0.860 O
0.314 0.472 0.759 O
0.996 0.185 0.306 O
0.191 0.035 0.584 O
0.787 0.971 0.687 O
0.181 0.210 0.696 O
0.484 0.163 0.526 O
0.376 0.502 0.078 O
0.702 0.525 0.250 O
0.850 0.348 0.923 O
0.824 0.801 0.586 O
0.859 0.351 0.641 O
0.166 0.695 0.469 O
0.155 0.474 0.253 O
0.641 0.492 0.923 O
0.821 0.991 0.408 O
0.466 0.158 0.248 O
0.672 0.150 0.027 O
0.518 0.829 0.760 O
0.035 0.825 0.692 O
0.016 0.201 0.195 O
0.868 0.518 0.145 O
0.305 0.455 0.472 O
0.516 0.687 0.253 O
0.835 0.511 0.028 O
0.008 0.997 0.646 Zr
0.341 0.670 0.316 Zr
0.329 0.668 0.521 Zr
0.001 0.002 0.143 Zr
0.325 0.665 0.018 Zr
0.666 0.331 0.189 Zr
0.665 0.333 0.833 Na
0.333 0.666 0.167 Na
0.020 0.017 0.997 Na
0.665 0.957 0.585 Na
0.999 0.630 0.254 Na
0.024 0.001 0.500 Na
0.668 0.704 0.080 Na
0.652 0.320 0.335 Na
0.317 0.657 0.669 Na
0.331 0.372 0.418 P
0.333 0.959 0.915 P
0.285 0.000 0.252 P
0.002 0.289 0.251 P
0.666 0.046 0.082 P
0.383 0.333 0.081 P
0.665 0.617 0.584 P
0.288 0.289 0.751 P
0.950 0.337 0.585 P
0.044 0.372 0.916 Si
0.960 0.623 0.085 Si
0.704 0.710 0.247 Si
0.623 0.667 0.919 Si
0.377 0.048 0.584 Si
0.003 0.708 0.750 Si
0.627 0.961 0.420 Si
0.707 0.995 0.747 Si
0.041 0.666 0.414 Si
0.333 0.666 0.814 Nb
0.991 0.994 0.356 Nb
0.665 0.331 0.692 Nb
0.675 0.338 0.976 Nb
0.989 0.992 0.853 Nb
0.665 0.335 0.478 Nb
```

Calculated values
- total DFT energy (no corrections) (eV/atom) = -7.839

The following is a PBE calculation of a relaxed structure of TeOsCl2, from the Materials Project database.

```
TeOsCl2
1.0
0.000 3.333 3.333
3.333 0.000 3.333
3.333 3.333 0.000
Cl Os Te
2 1 1
Direct
0.000 0.000 0.000 Cl
0.250 0.250 0.250 Cl
0.500 0.500 0.500 Os
0.750 0.750 0.750 Te
```

Calculated values
- total DFT energy (no corrections) (eV/atom) = -3.761